10
Lattice="2.2495 -13.0645 0.0000 2.2495 13.0645 0.0000 0.0000 0.0000 4.4994" Properties=species:S:1:pos:R:3 comment="Tb3Sn7, relaxed, DFT GGA-PBE" mass_density_g_cm3=8.211 sg=Cmmm delta_e_f_ev_per_fu=-5.5 pbc="T T T"
Tb 0.0000 0.0000 0.0000
Tb 2.2495 4.9297 2.2497
Tb 2.2495 -4.9297 2.2497
Sn 2.2495 10.5592 2.2497
Sn 2.2495 7.5415 0.0000
Sn 2.2495 2.5132 0.0000
Sn 2.2495 0.0000 2.2497
Sn 2.2495 -2.5132 0.0000
Sn 2.2495 -7.5415 0.0000
Sn 2.2495 -10.5592 2.2497

28
Lattice="10.2939 0.0000 0.0000 0.0000 3.8919 0.0000 0.0000 0.0000 19.4428" Properties=species:S:1:pos:R:3 comment="RbGe3As3, relaxed, DFT GGA-PBE" mass_density_g_cm3=4.504 sg=Pnma magmom_total_mub_per_fu=0.0 delta_e_f_ev_per_fu=-1.4 pbc="T T T"
Rb 2.2547 0.9730 0.7812
Rb 2.8923 2.9189 10.5026
Rb 7.4016 0.9730 8.9401
Rb 8.0392 2.9189 18.6615
Ge 0.2626 0.9730 12.3335
Ge 0.7837 2.9189 4.7363
Ge 2.1036 2.9189 16.3084
Ge 3.0434 0.9730 6.5871
Ge 4.3632 0.9730 14.4577
Ge 4.8844 2.9189 2.6121
Ge 5.4095 0.9730 16.8306
Ge 5.9307 2.9189 4.9851
Ge 7.2505 2.9189 12.8557
Ge 8.1903 0.9730 3.1343
Ge 9.5102 0.9730 14.7064
Ge 10.0313 2.9189 7.1092
As 0.6085 0.9730 16.8011
As 1.0972 0.9730 8.0744
As 2.3148 0.9730 4.2404
As 2.8322 2.9189 13.9618
As 4.0498 2.9189 17.7957
As 4.5384 2.9189 7.0797
As 5.7555 0.9730 12.3630
As 6.2441 0.9730 1.6470
As 7.4617 0.9730 5.4810
As 7.9791 2.9189 15.2024
As 9.1967 2.9189 11.3684
As 9.6854 2.9189 2.6416

20
Lattice="3.8349 -3.9239 0.0000 3.8349 3.9239 0.0000 0.0000 0.0000 7.7083" Properties=species:S:1:pos:R:3 comment="LiH2ClO, relaxed, DFT GGA-PBE" mass_density_g_cm3=1.730 sg=Cmcm magmom_total_mub_per_fu=0.0 delta_e_f_ev_per_fu=-7.4 corrected_energy_ev_per_cell=-91.75 pbc="T T T"
Li 0.0000 0.0000 0.0000
Li 0.0000 0.0000 3.8541
Li 3.8349 1.4105 5.7812
Li 3.8349 -1.4105 1.9271
H 3.0626 1.4792 0.5375
H 3.0626 1.4792 3.3166
H 4.6071 1.4792 0.5375
H 4.6071 1.4792 3.3166
H 3.0626 -1.4792 4.3917
H 3.0626 -1.4792 7.1707
H 4.6071 -1.4792 4.3917
H 4.6071 -1.4792 7.1707
Cl 1.8694 0.2327 1.9271
Cl 1.8694 -0.2327 5.7812
Cl 5.8003 0.2327 1.9271
Cl 5.8003 -0.2327 5.7812
O 3.8349 1.8757 0.0487
O 3.8349 1.8757 3.8054
O 3.8349 -1.8757 3.9028
O 3.8349 -1.8757 7.6596

14
Lattice="1.6406 -14.4485 0.0000 1.6406 14.4485 0.0000 0.0000 0.0000 3.1422" Properties=species:S:1:pos:R:3 comment="Nb3B3C, relaxed, DFT GGA-PBE" mass_density_g_cm3=7.205 sg=Cmcm magmom_total_mub_per_fu=0.0 delta_e_f_ev_per_fu=-4.7 pbc="T T T"
Nb 1.6406 13.0972 2.3567
Nb 1.6406 10.4639 0.7856
Nb 1.6406 6.1430 0.7856
Nb 1.6406 -6.1430 2.3567
Nb 1.6406 -10.4639 2.3567
Nb 1.6406 -13.0972 0.7856
B 1.6406 3.2397 0.7856
B 1.6406 2.2840 2.3567
B 1.6406 0.4464 2.3567
B 1.6406 -0.4464 0.7856
B 1.6406 -2.2840 0.7856
B 1.6406 -3.2397 2.3567
C 1.6406 8.3162 0.7856
C 1.6406 -8.3162 2.3567

28
Lattice="7.8945 0.0000 0.0000 0.0000 7.1785 0.0000 -0.8855 0.0000 11.5369" Properties=species:S:1:pos:R:3 comment="Rb3InO3, relaxed, DFT GGA-PBE" mass_density_g_cm3=4.259 sg=P2_1/c delta_e_f_ev_per_fu=-11.5 corrected_energy_ev_per_cell=-128.13 pbc="T T T"
Rb 0.3054 0.9119 1.7833
Rb -0.1373 2.6774 7.5518
Rb 2.0233 1.2972 10.6744
Rb 2.4661 2.2920 4.9060
Rb 2.1911 4.9960 9.3166
Rb 2.6339 5.7717 3.5482
Rb 4.3752 1.4068 7.9887
Rb 4.8179 2.1825 2.2203
Rb 4.5430 4.8865 6.6309
Rb 4.9857 5.8812 0.8625
Rb 7.1464 4.5011 3.9851
Rb 6.7036 6.2666 9.7535
In 1.2131 4.2265 0.7690
In 0.7703 6.5412 6.5374
In 6.2387 0.6373 4.9995
In 5.7960 2.9520 10.7679
O 0.4586 0.3032 4.6131
O 0.0159 3.2860 10.3815
O 1.5266 4.6388 6.2072
O 1.9694 6.1289 0.4388
O 1.8076 0.4435 7.9590
O 2.2504 3.1458 2.1906
O 4.7587 4.0327 9.3463
O 5.2014 6.7350 3.5778
O 5.0397 1.0496 11.0981
O 5.4824 2.5396 5.3296
O 6.9932 3.8925 1.1553
O 6.5504 6.8752 6.9237

58
Lattice="22.7530 0.0000 0.0000 0.0000 4.8964 2.8286 0.0000 -4.8964 2.8286" Properties=species:S:1:pos:R:3 comment="Al11AgO17, relaxed, DFT GGA-PBE" mass_density_g_cm3=3.566 sg=Ama2 magmom_total_mub_per_fu=0.0 delta_e_f_ev_per_fu=-94.2 corrected_energy_ev_per_cell=-444.70 pbc="T T T"
Al 0.0000 0.0000 0.0014
Al 0.5659 1.6317 2.8286
Al 2.4319 -0.8177 4.2388
Al 2.4466 -0.8211 1.4185
Al 2.4465 -3.2575 2.8258
Al 4.0001 1.6364 2.8352
Al 7.3764 1.6364 2.8352
Al 8.9299 -0.8211 1.4185
Al 8.9300 -3.2575 2.8258
Al 8.9446 -0.8177 4.2388
Al 10.8106 1.6317 2.8286
Al 11.3765 0.0000 0.0014
Al 11.9424 -1.6317 2.8286
Al 13.8084 0.8177 4.2388
Al 13.8231 0.8211 1.4185
Al 13.8230 3.2575 2.8258
Al 15.3766 -1.6364 2.8352
Al 18.7529 -1.6364 2.8352
Al 20.3064 0.8211 1.4185
Al 20.3065 3.2575 2.8258
Al 20.3211 0.8177 4.2388
Al 22.1871 -1.6317 2.8286
Ag 5.6882 -1.4455 3.1515
Ag 17.0647 1.4455 3.1515
O 1.1399 0.7701 1.3348
O 1.1349 3.3571 2.8267
O 1.1359 0.7681 4.3223
O 1.2629 -1.6312 2.8297
O 3.2274 -0.0011 5.6552
O 3.3151 -2.4340 1.4383
O 3.3309 -0.0340 2.8324
O 3.3308 -2.4274 4.2151
O 5.6882 1.6222 2.8107
O 8.0614 -2.4340 1.4383
O 8.0455 -0.0340 2.8324
O 8.0457 -2.4274 4.2151
O 8.1491 -0.0011 5.6552
O 10.1135 -1.6312 2.8297
O 10.2366 0.7701 1.3348
O 10.2416 3.3571 2.8267
O 10.2406 0.7681 4.3223
O 12.5164 -0.7701 1.3348
O 12.5114 -3.3571 2.8267
O 12.5124 -0.7681 4.3223
O 12.6394 1.6312 2.8297
O 14.6039 0.0011 5.6552
O 14.6916 2.4340 1.4383
O 14.7074 0.0340 2.8324
O 14.7073 2.4274 4.2151
O 17.0647 -1.6222 2.8107
O 19.4379 2.4340 1.4383
O 19.4220 0.0340 2.8324
O 19.4222 2.4274 4.2151
O 19.5256 0.0011 5.6552
O 21.4900 1.6312 2.8297
O 21.6131 -0.7701 1.3348
O 21.6180 -3.3571 2.8267
O 21.6171 -0.7681 4.3223

| no. | energy (eV per cell) |
| --- | --- |
| 1 | -47.5 |
| 2 | -121.0 |
| 3 | -89.0 |
| 4 | -128.4 |
| 5 | -119.9 |
| 6 | -421.3 |